The following is a DFT calculation (r²SCAN) of a relaxed structure of Cs2MnF4.

CIF file:
```
data_Cs2MnF4
_chemical_formula_sum 'Cs4 Mn2 F8'
_symmetry_space_group_name_H-M 'I 4/m m m'
_symmetry_Int_Tables_number 139
_symmetry_space_group_name_Hall '-I 4 2'
_cell_length_a 4.333
_cell_length_b 4.333
_cell_length_c 14.637
_cell_angle_alpha 90.00
_cell_angle_beta 90.00
_cell_angle_gamma 90.00
loop_
_atom_site_label
_atom_site_type_symbol
_atom_site_fract_x
_atom_site_fract_y
_atom_site_fract_z
Cs1 Cs 0.000 0.000 0.148
Mn1 Mn 0.000 0.000 0.500
F1 F 0.000 0.000 0.357
F2 F 0.000 0.500 0.000
```

Calculated values
formation energy = -2974 meV/atom
M_tot = 5.00 μB per formula unit
calculated density = 4.8 g/cm³



The following is a DFT calculation (r²SCAN) of a relaxed structure of TiAl6Mo.

CIF file:
```
data_TiAl6Mo
_chemical_formula_sum 'Ti1 Al6 Mo1'
_symmetry_space_group_name_H-M 'P 4/m m m'
_symmetry_Int_Tables_number 123
_symmetry_space_group_name_Hall '-P 4 2'
_cell_length_a 3.793
_cell_length_b 3.793
_cell_length_c 8.409
_cell_angle_alpha 90.00
_cell_angle_beta 90.00
_cell_angle_gamma 90.00
loop_
_atom_site_label
_atom_site_type_symbol
_atom_site_fract_x
_atom_site_fract_y
_atom_site_fract_z
Ti1 Ti 0.000 0.000 0.000
Al1 Al 0.000 0.000 0.500
Al2 Al 0.000 0.500 0.248
Al3 Al 0.500 0.500 0.000
Mo1 Mo 0.500 0.500 0.500
```

Calculated values
formation energy = -404 meV/atom
M_tot = 0.00 μB per formula unit
calculated density = 4.2 g/cm³



The following is a DFT calculation (r²SCAN) of a relaxed structure of NdCrO4.

CIF file:
```
data_NdCrO4
_chemical_formula_sum 'Nd4 Cr4 O16'
_symmetry_space_group_name_H-M 'I -4 m 2'
_symmetry_Int_Tables_number 119
_symmetry_space_group_name_Hall 'I -4 -2'
_cell_length_a 7.336
_cell_length_b 7.336
_cell_length_c 6.401
_cell_angle_alpha 90.00
_cell_angle_beta 90.00
_cell_angle_gamma 90.00
loop_
_atom_site_label
_atom_site_type_symbol
_atom_site_fract_x
_atom_site_fract_y
_atom_site_fract_z
Nd1 Nd 0.000 0.000 0.000
Nd2 Nd 0.000 0.500 0.250
Cr1 Cr 0.000 0.000 0.500
Cr2 Cr 0.000 0.500 0.750
O1 O 0.000 0.178 0.330
O2 O 0.000 0.320 0.918
```

Calculated values
formation energy = -2797 meV/atom
M_tot = 1.00 μB per formula unit
calculated density = 5.0 g/cm³



The following is a DFT calculation (r²SCAN) of a relaxed structure of Ti2CoOs.

CIF file:
```
data_Ti2CoOs
_chemical_formula_sum 'Ti8 Co4 Os4'
_symmetry_space_group_name_H-M 'F m -3 m'
_symmetry_Int_Tables_number 225
_symmetry_space_group_name_Hall '-F 4 2 3'
_cell_length_a 6.094
_cell_length_b 6.094
_cell_length_c 6.094
_cell_angle_alpha 90.00
_cell_angle_beta 90.00
_cell_angle_gamma 90.00
loop_
_atom_site_label
_atom_site_type_symbol
_atom_site_fract_x
_atom_site_fract_y
_atom_site_fract_z
Ti1 Ti 0.250 0.250 0.250
Co1 Co 0.000 0.000 0.000
Os1 Os 0.000 0.000 0.500
```

Calculated values
formation energy = -624 meV/atom
M_tot = 0.95 μB per formula unit
calculated density = 10.1 g/cm³



The following is a DFT calculation (r²SCAN) of a relaxed structure of TiBrN.

CIF file:
```
data_TiBrN
_chemical_formula_sum 'Ti2 Br2 N2'
_symmetry_space_group_name_H-M 'P m m n'
_symmetry_Int_Tables_number 59
_cell_length_a 3.365
_cell_length_b 3.935
_cell_length_c 8.611
_cell_angle_alpha 90.00
_cell_angle_beta 90.00
_cell_angle_gamma 90.00
loop_
_symmetry_equiv_pos_as_xyz
'x,y,z'
'-x,-y,-z'
'-x+1/2,-y+1/2,z'
'x+1/2,y+1/2,-z'
'x+1/2,-y,-z'
'-x+1/2,y,z'
'-x,y+1/2,-z'
'x,-y+1/2,z'
loop_
_atom_site_label
_atom_site_type_symbol
_atom_site_fract_x
_atom_site_fract_y
_atom_site_fract_z
Ti1 Ti 0.250 0.250 0.088
Br1 Br 0.250 0.750 0.682
N1 N 0.250 0.750 0.040
```

Calculated values
formation energy = -1611 meV/atom
M_tot = 0.00 μB per formula unit
calculated density = 4.1 g/cm³



The following is a DFT calculation (r²SCAN) of a relaxed structure of NbRh.

CIF file:
```
data_NbRh
_chemical_formula_sum 'Nb6 Rh6'
_symmetry_space_group_name_H-M 'P m m a'
_symmetry_Int_Tables_number 51
_symmetry_space_group_name_Hall '-P 2a 2a'
_cell_length_a 13.735
_cell_length_b 2.859
_cell_length_c 4.840
_cell_angle_alpha 90.00
_cell_angle_beta 90.00
_cell_angle_gamma 90.00
loop_
_atom_site_label
_atom_site_type_symbol
_atom_site_fract_x
_atom_site_fract_y
_atom_site_fract_z
Nb1 Nb 0.085 0.000 0.169
Nb2 Nb 0.250 0.000 0.546
Rh1 Rh 0.083 0.500 0.671
Rh2 Rh 0.250 0.500 0.034
```

Calculated values
formation energy = -416 meV/atom
M_tot = 0.00 μB per formula unit
calculated density = 10.3 g/cm³



The following is a DFT calculation (r²SCAN) of a relaxed structure of PrHo3.

CIF file:
```
data_PrHo3
_chemical_formula_sum 'Pr1 Ho3'
_symmetry_space_group_name_H-M 'P m -3 m'
_symmetry_Int_Tables_number 221
_symmetry_space_group_name_Hall '-P 4 2 3'
_cell_length_a 5.059
_cell_length_b 5.059
_cell_length_c 5.059
_cell_angle_alpha 90.00
_cell_angle_beta 90.00
_cell_angle_gamma 90.00
loop_
_atom_site_label
_atom_site_type_symbol
_atom_site_fract_x
_atom_site_fract_y
_atom_site_fract_z
Pr1 Pr 0.000 0.000 0.000
Ho1 Ho 0.000 0.500 0.500
```

Calculated values
formation energy = 53 meV/atom
M_tot = 0.01 μB per formula unit
calculated density = 8.2 g/cm³
E above lowest polymorph = 0.039 eV/atom



The following is a DFT calculation (r²SCAN) of a relaxed structure of YSn6Ru4.

CIF file:
```
data_YSn6Ru4
_chemical_formula_sum 'Y2 Sn12 Ru8'
_symmetry_space_group_name_H-M 'I -4 2 m'
_symmetry_Int_Tables_number 121
_symmetry_space_group_name_Hall 'I -4 2'
_cell_length_a 6.872
_cell_length_b 6.872
_cell_length_c 9.818
_cell_angle_alpha 90.00
_cell_angle_beta 90.00
_cell_angle_gamma 90.00
loop_
_atom_site_label
_atom_site_type_symbol
_atom_site_fract_x
_atom_site_fract_y
_atom_site_fract_z
Y1 Y 0.000 0.000 0.000
Sn1 Sn 0.000 0.500 0.000
Sn2 Sn 0.174 0.174 0.294
Ru1 Ru 0.174 0.174 0.577
```

Calculated values
formation energy = -328 meV/atom
M_tot = 0.00 μB per formula unit
calculated density = 8.6 g/cm³



Question: Among the records above, which one has the highest M_tot?
Answer: Cs2MnF4